No. 1
Computed, not measured: a geometry-optimized Zr5Sb3 structure at the PBE level of DFT.

The value obtained for the MP2020-corrected energy is -244.419 eV for the cell shown.

The space group is Pnma (No. 62) and the conventional cell measures 10.867, 8.889 and 7.615 Å, with angles of 90.00, 90.00 and 90.00 degrees. The asymmetric unit holds Zr at (0.003, 0.250, 0.026), Zr at (0.053, 0.057, 0.699), Zr at (0.213, 0.750, 0.328), Zr at (0.232, 0.250, 0.321), Sb at (0.027, 0.750, 0.591) and Sb at (0.178, 0.508, 0.066).


No. 2
Computed, not measured: a geometry-optimized Th11Ru12C18 structure at the PBE level of DFT.

The space group is I-43m (No. 217) and the conventional cell measures 10.831, 10.831 and 10.831 Å, with angles of 90.00, 90.00 and 90.00 degrees. The asymmetric unit holds Th at (0.000, 0.000, 0.000), Th at (0.000, 0.250, 0.500), Th at (0.203, 0.203, 0.797), Ru at (0.085, 0.085, 0.283), C at (0.000, 0.000, 0.435) and C at (0.049, 0.263, 0.263).


Here are the calculated E_form numbers, same order: -747 -293 (meV per atom).
Here are the calculated uncorrected energy numbers, same order: -7.57 -9.05 (eV per atom).